DFT (r²SCAN) results for a geometry-optimized Ca3Ge2Au9 structure.

```
28
Lattice="-1.072 -3.191 -2.954 1.622 -6.580 6.519 -13.004 0.710 3.952" Properties=species:S:1:pos:R:3 pbc="T T T"
Ca 0.275 -4.886 1.782
Ca -3.810 -4.617 2.975
Ca -6.502 0.355 1.976
Ca -8.644 -4.444 4.542
Ca -10.564 0.532 3.260
Ca -0.817 -6.402 7.211
Au -7.072 -4.308 7.220
Au 0.315 -1.373 1.369
Au -1.019 -6.612 4.116
Au -11.434 -2.449 3.400
Au -4.310 -1.562 3.251
Au -3.571 -4.588 6.252
Au -5.691 -2.935 5.236
Au -0.536 -1.596 -1.477
Au -6.590 -3.154 2.404
Au -7.641 -7.048 6.990
Au -5.864 -5.907 5.113
Au -1.888 -3.059 0.594
Au -10.293 -2.033 5.931
Au -11.696 -4.496 9.102
Au -4.813 -2.013 0.526
Au -10.566 -6.002 6.922
Au -7.811 -1.282 4.219
Au -1.088 -3.837 4.540
Ge -9.166 -2.165 2.270
Ge -3.288 -6.896 5.246
Ge -1.837 -2.104 2.940
Ge -9.545 -3.766 7.531
```

Calculated values
As for the total energy: -36.58 eV per atom. For the formation energy, the calculation gives -0.569 eV per atom. Its space group is Pnnm (58).



DFT (r²SCAN) results for a geometry-optimized CaGeAu structure.

```
36
Lattice="-4.256 -0.019 -1.504 -1.810 -5.467 5.193 -5.148 15.361 14.376" Properties=species:S:1:pos:R:3 pbc="T T T"
Ge -7.956 4.267 12.304
Ge -4.732 6.494 9.924
Ge -1.582 0.553 1.083
Ge -2.613 3.716 3.962
Ge -4.788 -1.619 3.411
Ge -8.601 6.159 14.103
Ge -9.632 9.321 16.983
Ge -5.792 9.571 12.885
Ge -3.258 5.607 5.762
Ge -6.482 3.381 8.142
Ge -6.426 11.493 14.654
Ge -5.422 0.304 5.181
Au -5.023 10.861 10.693
Au -5.200 -3.983 4.607
Au -4.043 4.357 8.000
Au -3.038 1.402 5.195
Au -4.275 8.669 8.603
Au -6.939 1.206 9.463
Au -2.304 -0.831 3.144
Au -8.910 10.706 14.922
Au -6.014 13.858 13.459
Au -6.191 -0.986 7.372
Au -7.171 5.518 10.065
Au -8.176 8.473 12.871
Ca -5.775 6.357 12.879
Ca -4.428 1.421 2.351
Ca -7.156 8.633 9.984
Ca -7.861 11.655 11.940
Ca -4.058 1.242 8.082
Ca -6.787 8.454 15.714
Ca -6.153 6.472 7.172
Ca -5.439 3.518 5.186
Ca -2.365 -3.908 3.355
Ca -8.849 13.783 14.711
Ca -3.353 -1.781 6.125
Ca -5.061 3.403 10.894
```

Calculated values
As for the total energy: -24.62 eV per atom. For the formation energy, the calculation gives -0.793 eV per atom. Its space group is Pnma (62).



DFT (r²SCAN) results for a geometry-optimized Ca3InAu3 structure.

```
28
Lattice="-2.791 2.617 -2.506 3.661 -3.284 -7.506 -11.355 -12.273 -0.169" Properties=species:S:1:pos:R:3 pbc="T T T"
In -8.232 -8.472 -1.765
In -1.718 -3.086 -3.395
In -8.766 -9.854 -6.786
In -2.253 -4.468 -8.415
Au -6.797 -6.176 -0.966
Au -3.688 -6.764 -9.215
Au -5.966 -6.460 -6.360
Au -11.404 -11.533 -1.429
Au -9.282 -8.170 -4.453
Au -4.163 -1.533 -3.225
Au -6.322 -11.407 -6.956
Au -10.955 -11.474 -6.040
Au 0.919 -1.407 -8.752
Au -4.519 -6.480 -3.821
Au -1.202 -4.770 -5.728
Au 0.471 -1.466 -4.141
Ca -7.494 -5.681 -3.846
Ca -11.582 -8.477 -2.212
Ca -6.225 -9.124 -4.680
Ca -8.672 -13.392 -6.411
Ca -2.991 -7.259 -6.335
Ca -6.103 -8.673 -8.518
Ca -4.381 -4.267 -1.663
Ca 1.098 -4.464 -7.969
Ca -9.179 -11.193 -3.551
Ca -4.259 -3.816 -5.501
Ca -1.306 -1.747 -6.629
Ca -1.812 0.452 -3.770
```

Calculated values
As for the total energy: -28.75 eV per atom. For the formation energy, the calculation gives -0.824 eV per atom. Its space group is Pnma (62).



DFT (r²SCAN) results for a geometry-optimized CaIn2Au structure.

```
8
Lattice="-0.867 5.808 -0.602 -2.349 -4.791 -2.524 -5.321 -0.234 5.396" Properties=species:S:1:pos:R:3 pbc="T T T"
In -4.198 -1.033 0.599
In -4.338 1.815 1.670
In -2.080 -0.939 -1.549
In -6.456 1.722 3.818
Au -2.510 3.511 0.341
Au -6.027 -2.728 1.929
Ca -3.568 -4.055 -1.031
Ca -4.968 4.838 3.301
```

Calculated values
As for the total energy: -26.33 eV per atom. For the formation energy, the calculation gives -0.639 eV per atom. Its space group is Cmcm (63).



DFT (r²SCAN) results for a geometry-optimized CaLaAu2 structure.

```
4
Lattice="0.000 3.696 3.696 3.696 0.000 3.696 3.696 3.696 0.000" Properties=species:S:1:pos:R:3 pbc="T T T"
Au 5.544 5.544 5.544
Au 1.848 1.848 1.848
La 0.000 0.000 0.000
Ca 3.696 3.696 3.696
```

Calculated values
As for the total energy: -35.37 eV per atom. For the formation energy, the calculation gives -0.883 eV per atom. Its space group is Fm-3m (225).



DFT (r²SCAN) results for a geometry-optimized Ca2PbAu2 structure.

```
10
Lattice="8.024 0.000 0.000 0.000 8.024 0.000 0.000 0.000 3.893" Properties=species:S:1:pos:R:3 pbc="T T T"
Au 7.032 3.021 0.000
Au 5.003 7.032 0.000
Au 0.991 5.003 0.000
Au 3.021 0.991 0.000
Ca 1.394 2.618 1.947
Ca 6.630 5.405 1.947
Ca 2.618 6.630 1.947
Ca 5.405 1.394 1.947
Pb 0.000 0.000 0.000
Pb 4.012 4.012 0.000
```

Calculated values
As for the total energy: -35.08 eV per atom. For the formation energy, the calculation gives -0.774 eV per atom. Its space group is P4/mbm (127).